[1]
Crystalline LiSiB6 at its relaxed geometry, computed with PBE.

Cell: 6.293 6.293 8.431 Å, 90.00 90.00 121.90°
Fractional positions:
Li 0.176 0.824 0.840
Li 0.324 0.676 0.340
Li 0.676 0.324 0.660
Li 0.824 0.176 0.160
Si 0.166 0.834 0.120
Si 0.334 0.666 0.620
Si 0.666 0.334 0.380
Si 0.834 0.166 0.880
B 0.100 0.900 0.350
B 0.120 0.198 0.334
B 0.152 0.848 0.556
B 0.155 0.313 0.531
B 0.187 0.345 0.969
B 0.198 0.120 0.666
B 0.302 0.380 0.166
B 0.313 0.155 0.469
B 0.345 0.187 0.031
B 0.348 0.652 0.056
B 0.380 0.302 0.834
B 0.400 0.600 0.850
B 0.600 0.400 0.150
B 0.620 0.698 0.166
B 0.652 0.348 0.944
B 0.655 0.813 0.969
B 0.687 0.845 0.531
B 0.698 0.620 0.834
B 0.802 0.880 0.334
B 0.813 0.655 0.031
B 0.845 0.687 0.469
B 0.848 0.152 0.444
B 0.880 0.802 0.666
B 0.900 0.100 0.650

Output
The crystal system is orthorhombic.

***

[2]
Crystalline Mg4P6Rh7 at its relaxed geometry, computed with PBE.

Cell: 6.857 6.857 6.857 Å, 109.47 109.47 109.47°
Fractional positions:
Mg 0.000 0.000 0.500
Mg 0.000 0.500 0.000
Mg 0.500 0.000 0.000
Mg 0.500 0.500 0.500
P 0.000 0.319 0.319
P 0.000 0.681 0.681
P 0.319 0.000 0.319
P 0.319 0.319 0.000
P 0.681 0.000 0.681
P 0.681 0.681 0.000
Rh 0.000 0.000 0.000
Rh 0.250 0.500 0.750
Rh 0.250 0.750 0.500
Rh 0.500 0.250 0.750
Rh 0.500 0.750 0.250
Rh 0.750 0.250 0.500
Rh 0.750 0.500 0.250

Output
The crystal system is cubic.

***

[3]
Crystalline LiPu2TeO2 at its relaxed geometry, computed with PBE.

Cell: 8.477 8.477 8.477 Å, 152.63 152.63 39.10°
Fractional positions:
Li 0.000 0.000 0.000
Pu 0.180 0.180 0.000
Pu 0.820 0.820 0.000
Te 0.500 0.500 0.000
O 0.250 0.750 0.500
O 0.750 0.250 0.500

Output
The energy above the most stable polymorph in this dataset is 0.131 eV per atom. The crystal system is tetragonal.

***

[4]
Crystalline Na2B4O7 at its relaxed geometry, computed with PBE.

Cell: 6.851 9.730 13.447 Å, 104.36 91.98 106.33°
Fractional positions:
Na 0.053 0.353 0.386
Na 0.080 0.328 0.879
Na 0.173 0.901 0.530
Na 0.202 0.905 0.023
Na 0.366 0.593 0.202
Na 0.423 0.608 0.700
Na 0.577 0.392 0.300
Na 0.634 0.407 0.798
Na 0.798 0.095 0.977
Na 0.827 0.099 0.470
Na 0.920 0.672 0.121
Na 0.947 0.647 0.614
B 0.042 0.622 0.331
B 0.074 0.627 0.827
B 0.195 0.897 0.301
B 0.204 0.253 0.080
B 0.208 0.098 0.219
B 0.257 0.902 0.800
B 0.265 0.280 0.597
B 0.274 0.110 0.725
B 0.321 0.165 0.412
B 0.370 0.163 0.916
B 0.380 0.684 0.455
B 0.415 0.655 0.925
B 0.585 0.345 0.075
B 0.620 0.316 0.545
B 0.630 0.837 0.084
B 0.679 0.835 0.588
B 0.726 0.890 0.275
B 0.735 0.720 0.403
B 0.743 0.098 0.200
B 0.792 0.902 0.781
B 0.796 0.747 0.920
B 0.805 0.103 0.699
B 0.926 0.373 0.173
B 0.958 0.378 0.669
O 0.041 0.322 0.091
O 0.058 0.486 0.261
O 0.141 0.746 0.282
O 0.166 0.385 0.650
O 0.169 0.127 0.129
O 0.169 0.647 0.434
O 0.174 0.946 0.212
O 0.197 0.227 0.485
O 0.197 0.751 0.781
O 0.201 0.192 0.969
O 0.217 0.957 0.716
O 0.228 0.569 0.871
O 0.229 0.144 0.636
O 0.269 0.999 0.394
O 0.280 0.202 0.312
O 0.356 0.001 0.891
O 0.365 0.210 0.817
O 0.413 0.361 0.123
O 0.429 0.749 0.022
O 0.457 0.769 0.554
O 0.495 0.359 0.617
O 0.505 0.641 0.383
O 0.543 0.231 0.446
O 0.571 0.251 0.978
O 0.587 0.639 0.877
O 0.635 0.790 0.183
O 0.644 0.999 0.109
O 0.720 0.798 0.688
O 0.731 0.001 0.606
O 0.771 0.856 0.364
O 0.772 0.431 0.129
O 0.783 0.043 0.284
O 0.799 0.808 0.031
O 0.803 0.249 0.219
O 0.803 0.773 0.515
O 0.826 0.054 0.788
O 0.831 0.353 0.566
O 0.831 0.873 0.871
O 0.834 0.615 0.350
O 0.859 0.254 0.718
O 0.942 0.514 0.739
O 0.959 0.678 0.909

Output
The energy above the most stable polymorph in this dataset is 0.002 eV per atom. The crystal system is triclinic.

***

[5]
Crystalline CsNa2H15O9 at its relaxed geometry, computed with PBE.

Cell: 13.914 6.089 12.465 Å, 90.00 90.00 90.00°
Fractional positions:
Cs 0.099 0.080 0.000
Cs 0.401 0.080 0.500
Cs 0.599 0.920 0.000
Cs 0.901 0.920 0.500
Na 0.141 0.742 0.655
Na 0.160 0.238 0.678
Na 0.340 0.238 0.178
Na 0.359 0.742 0.155
Na 0.641 0.258 0.655
Na 0.660 0.762 0.678
Na 0.840 0.762 0.178
Na 0.859 0.258 0.155
H 0.001 0.867 0.795
H 0.009 0.578 0.106
H 0.011 0.910 0.228
H 0.049 0.442 0.492
H 0.054 0.548 0.836
H 0.071 0.622 0.253
H 0.114 0.132 0.462
H 0.114 0.320 0.327
H 0.167 0.572 0.860
H 0.171 0.561 0.138
H 0.175 0.883 0.220
H 0.180 0.916 0.475
H 0.189 0.622 0.400
H 0.235 0.556 0.033
H 0.246 0.888 0.314
H 0.254 0.888 0.814
H 0.265 0.556 0.533
H 0.311 0.622 0.900
H 0.320 0.916 0.975
H 0.325 0.883 0.720
H 0.329 0.561 0.638
H 0.333 0.572 0.360
H 0.386 0.132 0.962
H 0.386 0.320 0.827
H 0.429 0.622 0.753
H 0.446 0.548 0.336
H 0.451 0.442 0.992
H 0.489 0.910 0.728
H 0.491 0.578 0.606
H 0.499 0.867 0.295
H 0.501 0.133 0.795
H 0.509 0.422 0.106
H 0.511 0.090 0.228
H 0.549 0.558 0.492
H 0.554 0.452 0.836
H 0.571 0.378 0.253
H 0.614 0.680 0.327
H 0.614 0.868 0.462
H 0.667 0.428 0.860
H 0.671 0.439 0.138
H 0.675 0.117 0.220
H 0.680 0.084 0.475
H 0.689 0.378 0.400
H 0.735 0.444 0.033
H 0.746 0.112 0.314
H 0.754 0.112 0.814
H 0.765 0.444 0.533
H 0.811 0.378 0.900
H 0.820 0.084 0.975
H 0.825 0.117 0.720
H 0.829 0.439 0.638
H 0.833 0.428 0.360
H 0.886 0.680 0.827
H 0.886 0.868 0.962
H 0.929 0.378 0.753
H 0.946 0.452 0.336
H 0.951 0.558 0.992
H 0.989 0.090 0.728
H 0.991 0.422 0.606
H 0.999 0.133 0.295
O 0.038 0.974 0.749
O 0.041 0.508 0.565
O 0.057 0.319 0.372
O 0.082 0.713 0.190
O 0.118 0.490 0.815
O 0.143 0.031 0.516
O 0.227 0.480 0.104
O 0.235 0.962 0.243
O 0.244 0.709 0.423
O 0.256 0.709 0.923
O 0.265 0.962 0.743
O 0.273 0.480 0.604
O 0.357 0.031 0.016
O 0.382 0.490 0.315
O 0.418 0.713 0.690
O 0.443 0.319 0.872
O 0.459 0.508 0.065
O 0.462 0.974 0.249
O 0.538 0.026 0.749
O 0.541 0.492 0.565
O 0.557 0.681 0.372
O 0.582 0.287 0.190
O 0.618 0.510 0.815
O 0.643 0.969 0.516
O 0.727 0.520 0.104
O 0.735 0.038 0.243
O 0.744 0.291 0.423
O 0.756 0.291 0.923
O 0.765 0.038 0.743
O 0.773 0.520 0.604
O 0.857 0.969 0.016
O 0.882 0.510 0.315
O 0.918 0.287 0.690
O 0.943 0.681 0.872
O 0.959 0.492 0.065
O 0.962 0.026 0.249

Output
The crystal system is orthorhombic.

***

[6]
Crystalline Mg2MnCo3S8 at its relaxed geometry, computed with PBE.

Cell: 6.976 6.976 6.976 Å, 60.21 60.21 60.21°
Fractional positions:
Mg 0.125 0.125 0.125
Mg 0.875 0.875 0.875
Mn 0.500 0.500 0.500
Co 0.000 0.500 0.500
Co 0.500 0.000 0.500
Co 0.500 0.500 0.000
S 0.264 0.264 0.698
S 0.264 0.698 0.264
S 0.268 0.268 0.268
S 0.302 0.736 0.736
S 0.698 0.264 0.264
S 0.732 0.732 0.732
S 0.736 0.302 0.736
S 0.736 0.736 0.302

Output
The crystal system is trigonal.

***

[7]
Crystalline SmCo12 at its relaxed geometry, computed with PBE.

Cell: 6.634 6.634 6.634 Å, 95.46 95.46 144.08°
Fractional positions:
Sm 0.000 0.000 0.000
Co 0.000 0.373 0.373
Co 0.000 0.627 0.627
Co 0.214 0.214 0.429
Co 0.214 0.786 0.000
Co 0.267 0.500 0.767
Co 0.373 0.000 0.373
Co 0.500 0.267 0.767
Co 0.500 0.733 0.233
Co 0.627 0.000 0.627
Co 0.733 0.500 0.233
Co 0.786 0.214 0.000
Co 0.786 0.786 0.571

Output
The crystal system is tetragonal.

***

[8]
Crystalline RbPbBr3 at its relaxed geometry, computed with PBE.

Cell: 5.985 5.985 5.980 Å, 90.06 90.06 90.07°
Fractional positions:
Rb 0.000 0.000 0.000
Pb 0.502 0.502 0.516
Br 0.000 0.501 0.515
Br 0.488 0.488 0.016
Br 0.501 0.000 0.515

Output
The crystal system is monoclinic.

***

[9]
Crystalline Ba3Ta4NbO15 at its relaxed geometry, computed with PBE.

Cell: 12.783 12.783 4.025 Å, 90.00 90.00 90.00°
Fractional positions:
Ba 0.000 0.000 0.000
Ba 0.169 0.331 0.000
Ba 0.331 0.831 0.000
Ba 0.500 0.500 0.000
Ba 0.669 0.169 0.000
Ba 0.831 0.669 0.000
Ta 0.075 0.786 0.500
Ta 0.214 0.075 0.500
Ta 0.286 0.575 0.500
Ta 0.425 0.286 0.500
Ta 0.575 0.714 0.500
Ta 0.714 0.425 0.500
Ta 0.786 0.925 0.500
Ta 0.925 0.214 0.500
Nb 0.000 0.500 0.500
Nb 0.500 0.000 0.500
O 0.000 0.500 0.000
O 0.008 0.342 0.500
O 0.068 0.140 0.500
O 0.077 0.791 0.000
O 0.140 0.932 0.500
O 0.158 0.492 0.500
O 0.209 0.077 0.000
O 0.218 0.718 0.500
O 0.282 0.218 0.500
O 0.291 0.577 0.000
O 0.342 0.992 0.500
O 0.360 0.432 0.500
O 0.423 0.291 0.000
O 0.432 0.640 0.500
O 0.492 0.842 0.500
O 0.500 0.000 0.000
O 0.508 0.158 0.500
O 0.568 0.360 0.500
O 0.577 0.709 0.000
O 0.640 0.568 0.500
O 0.658 0.008 0.500
O 0.709 0.423 0.000
O 0.718 0.782 0.500
O 0.782 0.282 0.500
O 0.791 0.923 0.000
O 0.842 0.508 0.500
O 0.860 0.068 0.500
O 0.923 0.209 0.000
O 0.932 0.860 0.500
O 0.992 0.658 0.500

Output
The crystal system is tetragonal.

***

| no. | raw total energy (eV per cell) | ΔH_f (0 K) (meV per atom) |
| --- | --- | --- |
| 1 | -196.11 | -202 |
| 2 | -103.36 | -760 |
| 3 | -55.00 | -2148 |
| 4 | -568.97 | -2741 |
| 5 | -521.58 | -1393 |
| 6 | -75.88 | -937 |
| 7 | -87.80 | 171 |
| 8 | -15.87 | -1573 |
| 9 | -410.30 | -3389 |